# Er3O2F5

Er3O2F5 after structural relaxation (GGA-PBE, the Materials Project).

Geometry as extended XYZ:
```
40
Lattice="5.6150 0.0000 0.0000 0.0000 17.1758 0.0000 0.0000 0.0000 5.3618" Properties=species:S:1:pos:R:3 pbc="T T T"
Er 0.9815 1.6729 0.2091
Er 0.9815 6.9150 0.2091
Er 1.3397 4.2939 2.4491
Er 1.4678 12.8818 5.1300
Er 1.8260 10.2608 2.8900
Er 1.8260 15.5029 2.8900
Er 3.7890 1.6729 2.4718
Er 3.7890 6.9150 2.4718
Er 4.1472 4.2939 0.2318
Er 4.2752 12.8818 2.9128
Er 4.6335 10.2608 5.1527
Er 4.6335 15.5029 5.1527
O 0.2063 11.4849 3.7783
O 0.2063 14.2788 3.7783
O 2.6012 2.8970 1.0973
O 2.6012 5.6909 1.0973
O 3.0138 11.4849 4.2645
O 3.0138 14.2788 4.2645
O 5.4087 2.8970 1.5836
O 5.4087 5.6909 1.5836
F 0.6265 4.2939 4.5973
F 0.6582 8.8399 4.2165
F 0.6582 16.9238 4.2165
F 0.9069 10.7446 0.9436
F 0.9069 15.0190 0.9436
F 1.9006 2.1567 3.6245
F 1.9006 6.4312 3.6245
F 2.1493 0.2520 1.5356
F 2.1493 8.3359 1.5356
F 2.1810 12.8818 1.9164
F 3.4340 4.2939 3.4454
F 3.4656 8.8399 3.8262
F 3.4656 16.9238 3.8262
F 3.7144 10.7446 1.7373
F 3.7144 15.0190 1.7373
F 4.7081 2.1567 4.4182
F 4.7081 6.4312 4.4182
F 4.9568 0.2520 1.1453
F 4.9568 8.3359 1.1453
F 4.9885 12.8818 0.7645
```

## Properties
The crystal system is orthorhombic. The space group is Pnma (62). As for the energy with MP2020 corrections: -7.700 eV per atom.

---

# Ga2Se3

Ga2Se3 after structural relaxation (GGA-PBE, the Materials Project).

Geometry as extended XYZ:
```
10
Lattice="3.4058 -5.9970 0.0000 3.4058 5.9970 0.0000 -2.1558 0.0000 6.4175" Properties=species:S:1:pos:R:3 pbc="T T T"
Ga 2.3279 4.9768 3.2087
Ga 1.0344 2.9850 6.3908
Ga 2.1123 -2.9850 3.1821
Ga 3.4058 -4.9768 0.0000
Se 1.1037 2.9118 3.9051
Se 2.1949 1.0301 0.8896
Se 1.1170 -1.0301 4.0984
Se 2.1816 -2.9118 0.6963
Se 4.3733 0.9352 3.9427
Se 5.4512 -0.9352 0.7340
```

## Properties
The largest piezoelectric modulus is 0.21 C/m². The crystal system is monoclinic. The space group is Cc (9). As for the energy with MP2020 corrections: -4.177 eV per atom.

---

# NaMg4P3O12

NaMg4P3O12 after structural relaxation (GGA-PBE, the Materials Project).

Geometry as extended XYZ:
```
80
Lattice="9.9228 0.0000 0.0000 0.0000 6.3938 0.0000 0.0000 0.0000 15.5296" Properties=species:S:1:pos:R:3 pbc="T T T"
Na 2.4762 1.5984 3.3138
Na 2.4852 4.7953 11.0787
Na 7.4375 1.5984 4.4510
Na 7.4466 4.7953 12.2158
Mg 0.4482 1.5984 9.7833
Mg 0.6581 4.7953 1.9935
Mg 2.4521 0.0045 14.6764
Mg 2.4521 3.1924 14.6764
Mg 2.5093 3.2014 6.9116
Mg 2.5093 6.3893 6.9116
Mg 4.3033 1.5984 9.7583
Mg 4.5132 4.7953 2.0185
Mg 5.4095 1.5984 13.5111
Mg 5.6195 4.7953 5.7713
Mg 7.4135 0.0045 8.6180
Mg 7.4135 3.1924 8.6180
Mg 7.4707 3.2014 0.8532
Mg 7.4707 6.3893 0.8532
Mg 9.2647 1.5984 13.5361
Mg 9.4746 4.7953 5.7463
P 0.2890 4.7953 8.7199
P 0.4355 1.5984 0.8753
P 2.0355 1.5984 11.9984
P 2.9259 4.7953 4.2336
P 4.5259 4.7953 8.6401
P 4.6724 1.5984 0.9551
P 5.2503 4.7953 14.5745
P 5.3969 1.5984 6.8895
P 6.9969 1.5984 11.2960
P 7.8873 4.7953 3.5312
P 9.4873 4.7953 14.6543
P 9.6338 1.5984 6.8097
O 0.4701 1.5984 11.8984
O 0.6208 3.5486 9.5202
O 0.6208 6.0421 9.5202
O 0.9501 0.3464 1.5759
O 0.9501 2.8505 1.5759
O 1.0405 1.5984 14.9280
O 1.1244 4.7953 14.8256
O 1.1367 4.7953 7.3617
O 1.2245 1.5984 7.2729
O 2.4164 3.5181 4.9515
O 2.4164 6.0726 4.9515
O 2.4561 1.5984 10.5106
O 2.5053 4.7953 2.7457
O 2.5450 0.3212 12.7163
O 2.5450 2.8757 12.7163
O 3.7369 4.7953 15.0377
O 3.8247 1.5984 15.1265
O 3.8370 1.5984 7.0608
O 3.9209 4.7953 7.1632
O 4.0113 3.5433 9.3407
O 4.0113 6.0474 9.3407
O 4.3405 0.3517 1.7554
O 4.3405 2.8452 1.7554
O 4.4913 4.7953 4.1336
O 5.4315 1.5984 11.3960
O 5.5822 3.5486 13.7742
O 5.5822 6.0421 13.7742
O 5.9115 0.3464 6.1889
O 5.9115 2.8505 6.1889
O 6.0019 1.5984 8.3664
O 6.0858 4.7953 8.4688
O 6.0981 4.7953 0.4031
O 6.1859 1.5984 0.4919
O 7.3778 3.5181 2.8133
O 7.3778 6.0726 2.8133
O 7.4175 1.5984 12.7839
O 7.4667 4.7953 5.0191
O 7.5064 0.3212 10.5781
O 7.5064 2.8757 10.5781
O 8.6983 4.7953 8.2567
O 8.7861 1.5984 8.1679
O 8.7984 1.5984 0.7040
O 8.8823 4.7953 0.6016
O 8.9727 3.5433 13.9537
O 8.9727 6.0474 13.9537
O 9.3019 0.3517 6.0094
O 9.3019 2.8452 6.0094
O 9.4527 4.7953 3.6312
```

## Properties
The crystal system is orthorhombic. The space group is Pnma (62). As for the energy with MP2020 corrections: -7.155 eV per atom.

---

# Ba2CuS2Br2

Ba2CuS2Br2 after structural relaxation (GGA-PBE, the Materials Project).

Geometry as extended XYZ:
```
7
Lattice="-2.5393 2.5393 7.7077 2.5393 -2.5393 7.7077 2.5393 2.5393 -7.7077" Properties=species:S:1:pos:R:3 pbc="T T T"
Ba 0.0000 0.0000 2.3125
Ba 0.0000 0.0000 13.1030
Cu 0.0000 0.0000 7.7077
S 0.0000 0.0000 5.3037
S 0.0000 0.0000 10.1118
Br 2.5393 0.0000 0.0000
Br 0.0000 2.5393 0.0000
```

## Properties
The crystal system is tetragonal. The space group is I4/mmm (139). As for the energy with MP2020 corrections: -4.403 eV per atom. The excess energy over the best structure of this formula in the dataset is 267 meV per atom.

---

# Sm2Mn12P7

Sm2Mn12P7 after structural relaxation (GGA-PBE, the Materials Project).

Geometry as extended XYZ:
```
21
Lattice="9.3243 0.0000 0.0000 -4.6622 8.0751 0.0000 0.0000 0.0000 3.6300" Properties=species:S:1:pos:R:3 pbc="T T T"
Sm 0.0000 0.0000 0.0000
Sm 0.0000 5.3834 1.8150
Mn -3.0497 6.2018 1.8150
Mn -0.9162 3.0750 0.0000
Mn 0.8161 2.3331 1.8150
Mn -1.5411 7.3310 0.0000
Mn 2.6663 1.7276 0.0000
Mn 4.5681 0.9001 1.8150
Mn 3.1576 3.6689 1.8150
Mn 2.4572 5.7442 0.0000
Mn 2.2336 7.6153 1.8150
Mn 6.4950 1.4453 0.0000
Mn 4.8252 4.9022 0.0000
Mn 6.2607 3.5060 1.8150
P -2.2151 5.0208 0.0000
P 2.2073 0.4171 1.8150
P 1.4215 3.6463 0.0000
P 0.7936 7.4830 0.0000
P 4.6622 2.6917 0.0000
P 3.9197 5.9549 1.8150
P 7.8594 1.7031 1.8150
```

## Properties
The crystal system is hexagonal. The space group is P-6 (174).

---

# Rb2PrO3

Rb2PrO3 after structural relaxation (GGA-PBE, the Materials Project).

Geometry as extended XYZ:
```
24
Lattice="6.5764 0.0000 0.0000 0.0000 11.3361 0.0000 0.0000 0.0000 7.5352" Properties=species:S:1:pos:R:3 pbc="T T T"
Rb 1.5186 0.9586 0.8503
Rb 1.5186 4.7095 0.8503
Rb 1.7696 6.6266 4.6179
Rb 1.7696 10.3775 4.6179
Rb 4.8068 0.9586 2.9173
Rb 4.8068 4.7095 2.9173
Rb 5.0578 6.6266 6.6849
Rb 5.0578 10.3775 6.6849
Pr 1.5498 8.5021 1.1261
Pr 1.7384 2.8340 4.8937
Pr 4.8380 8.5021 2.6415
Pr 5.0266 2.8340 6.4091
O 0.0004 1.3306 5.4652
O 0.0004 4.3374 5.4652
O 6.5760 6.9986 2.0700
O 6.5760 10.0055 2.0700
O 0.9431 8.5021 6.5366
O 2.3451 2.8340 2.7690
O 3.2886 1.3306 5.8376
O 3.2886 4.3374 5.8376
O 3.2878 6.9986 1.6976
O 3.2878 10.0055 1.6976
O 4.2313 8.5021 4.7662
O 5.6333 2.8340 0.9986
```

## Properties
The crystal system is orthorhombic. The space group is Pnma (62). As for the energy with MP2020 corrections: -5.780 eV per atom.

---

# SbSO2F5

SbSO2F5 after structural relaxation (GGA-PBE, the Materials Project).

Geometry as extended XYZ:
```
36
Lattice="5.9564 0.0000 0.0000 0.0000 10.7428 0.0000 -3.7228 0.0000 10.1151" Properties=species:S:1:pos:R:3 pbc="T T T"
Sb -0.5400 0.4445 2.7264
Sb -2.4014 4.9269 7.7840
Sb 4.6350 5.8159 2.3311
Sb 2.7736 10.2983 7.3887
S 2.5982 8.0305 0.6560
S 0.7367 8.0837 5.7135
S 1.4969 2.6591 4.4015
S -0.3646 2.7123 9.4591
O 1.1073 1.7511 3.2808
O -0.7541 3.6203 8.3383
O 2.4141 2.5599 0.4088
O 0.5527 2.8115 5.4663
O 1.6809 7.9313 4.6488
O -0.1805 8.1829 9.7063
O 2.9877 7.1225 1.7768
O 1.1263 8.9916 6.8343
F -1.3159 6.7785 3.9722
F -3.1773 9.3357 9.0297
F -0.1709 7.1284 1.5753
F -2.0323 8.9858 6.6328
F -1.7716 0.7197 7.9066
F 0.0898 4.6517 2.8491
F -2.1933 5.7230 9.5130
F -0.3319 10.3912 4.4555
F -1.0105 6.0451 7.1338
F 0.8509 10.0690 2.0763
F 1.3827 0.6737 8.0388
F 3.2441 4.6976 2.9813
F 2.5655 0.3516 5.6596
F 4.4269 5.0198 0.6020
F 2.1438 6.0910 7.2660
F 4.0052 10.0231 2.2085
F 4.2659 1.7570 3.4823
F 2.4045 3.6144 8.5398
F 5.4109 1.4071 1.0853
F 3.5495 3.9643 6.1429
```

## Properties
The crystal system is monoclinic. The space group is P2_1/c (14). As for the energy with MP2020 corrections: -5.338 eV per atom.

---

# Y2Ge2O7

Y2Ge2O7 after structural relaxation (GGA-PBE, the Materials Project).

Geometry as extended XYZ:
```
11
Lattice="3.5290 -4.6210 0.0000 3.5290 4.6210 0.0000 -1.0640 0.0000 4.9025" Properties=species:S:1:pos:R:3 pbc="T T T"
Y 3.5290 2.8305 0.0000
Y 3.5290 -2.8305 0.0000
Ge 1.2857 0.0000 2.8963
Ge 4.7083 0.0000 2.0061
O 0.4273 0.0000 1.3547
O 0.9977 1.4600 3.8592
O 0.9977 -1.4600 3.8592
O 2.9970 0.0000 2.4512
O 4.9964 1.4600 1.0433
O 4.9964 -1.4600 1.0433
O 5.5668 0.0000 3.5478
```

## Properties
The crystal system is monoclinic. The space group is C2/m (12). As for the energy with MP2020 corrections: -8.202 eV per atom. The excess energy over the best structure of this formula in the dataset is 5 meV per atom.

---

# Ge3Rh2S3

Ge3Rh2S3 after structural relaxation (GGA-PBE, the Materials Project).

Geometry as extended XYZ:
```
32
Lattice="8.4475 0.0000 0.0000 0.0000 8.4475 0.0000 0.0000 0.0000 8.4475" Properties=species:S:1:pos:R:3 pbc="T T T"
Ge 0.0000 1.2415 2.7895
Ge 0.0000 1.2415 5.6580
Ge 0.0000 7.2059 2.7895
Ge 0.0000 7.2059 5.6580
Ge 1.2415 2.7895 0.0000
Ge 1.2415 5.6580 0.0000
Ge 2.7895 0.0000 1.2415
Ge 2.7895 0.0000 7.2059
Ge 5.6580 0.0000 1.2415
Ge 5.6580 0.0000 7.2059
Ge 7.2059 2.7895 0.0000
Ge 7.2059 5.6580 0.0000
Rh 2.2298 2.2298 2.2298
Rh 2.2298 2.2298 6.2176
Rh 2.2298 6.2176 2.2298
Rh 2.2298 6.2176 6.2176
Rh 6.2176 2.2298 2.2298
Rh 6.2176 2.2298 6.2176
Rh 6.2176 6.2176 2.2298
Rh 6.2176 6.2176 6.2176
S 1.4366 4.2237 3.1759
S 1.4366 4.2237 5.2716
S 3.1759 1.4366 4.2237
S 3.1759 7.0109 4.2237
S 4.2237 3.1759 1.4366
S 4.2237 3.1759 7.0109
S 4.2237 5.2716 1.4366
S 4.2237 5.2716 7.0109
S 5.2716 1.4366 4.2237
S 5.2716 7.0109 4.2237
S 7.0109 4.2237 3.1759
S 7.0109 4.2237 5.2716
```

## Properties
The crystal system is cubic. The space group is Pm-3 (200). As for the energy with MP2020 corrections: -5.497 eV per atom. The excess energy over the best structure of this formula in the dataset is 356 meV per atom.

---

| no. | electronic total energy (eV per atom) |
| --- | --- |
| 1 | -7.332 |
| 2 | -3.894 |
| 3 | -6.743 |
| 4 | -4.106 |
| 5 | -8.169 |
| 6 | -5.437 |
| 7 | -4.929 |
| 8 | -7.765 |
| 9 | -5.309 |